Computed, not measured: Gd2TlAg after structural relaxation at the meta-GGA r2SCAN level of DFT.

Computed properties:
Density, Mg/m³: 10.0
Uncorrected energy, eV/atom: -40.70
ΔH_f (0 K), meV per atom: -364

Cell lengths 7.4728, 7.4728, 7.4728 Å; angles 90.00, 90.00, 90.00 degrees
Closest atoms and distances in Å follow each position.
Space group Fm-3m (No. 225)
Asymmetric unit:
Gd 0.2500 0.2500 0.2500  4 Tl 3.24, 4 Ag 3.24
Tl 0.0000 0.0000 0.0000  8 Gd 3.24
Ag 0.0000 0.0000 0.5000  8 Gd 3.24

Computed, not measured: LaAg2Ge2 after structural relaxation at the meta-GGA r2SCAN level of DFT.

Computed properties:
Density, Mg/m³: 7.9
Uncorrected energy, eV/atom: -20.56
ΔH_f (0 K), meV per atom: -518

Cell lengths 4.3665, 4.3665, 10.9680 Å; angles 90.00, 90.00, 90.00 degrees
Closest atoms and distances in Å follow each position.
Space group I4/mmm (No. 139)
Asymmetric unit:
La 0.0000 0.0000 0.0000  8 Ge 3.32, 8 Ag 3.51
Ag 0.0000 0.5000 0.2500  4 Ge 2.66
Ge 0.0000 0.0000 0.3881  1 Ge 2.45, 4 Ag 2.66

Computed, not measured: NdAg2Ge2 after structural relaxation at the meta-GGA r2SCAN level of DFT.

Computed properties:
Density, Mg/m³: 8.3
Uncorrected energy, eV/atom: -20.45
ΔH_f (0 K), meV per atom: -471

Cell lengths 4.2813, 4.2813, 11.0714 Å; angles 90.00, 90.00, 90.00 degrees
Closest atoms and distances in Å follow each position.
Space group I4/mmm (No. 139)
Asymmetric unit:
Nd 0.0000 0.0000 0.0000  8 Ge 3.26, 8 Ag 3.50
Ag 0.0000 0.5000 0.2500  4 Ge 2.65
Ge 0.0000 0.0000 0.3904  1 Ge 2.43, 4 Ag 2.65

Computed, not measured: Nd3Ag4Ge4 after structural relaxation at the meta-GGA r2SCAN level of DFT.

Computed properties:
Density, Mg/m³: 8.2
Uncorrected energy, eV/atom: -21.44
ΔH_f (0 K), meV per atom: -611

Cell lengths 4.4372, 7.1319, 14.7777 Å; angles 90.00, 90.00, 90.00 degrees
Closest atoms and distances in Å follow each position.
Space group Immm (No. 71)
Asymmetric unit:
Nd 0.0000 0.0000 0.0000  6 Ge 3.18-3.20
Nd 0.0000 0.5000 0.1289  6 Ag 3.16-3.31, 6 Ge 3.18-3.20
Ag 0.0000 0.3053 0.3321  4 Ge 2.64-2.77, 1 Ag 2.78
Ge 0.0000 0.0000 0.2166  6 Ag 2.71-2.77
Ge 0.0000 0.1806 0.5000  1 Ge 2.58, 2 Ag 2.64

Computed, not measured: PrAgGe after structural relaxation at the meta-GGA r2SCAN level of DFT.

Computed properties:
Density, Mg/m³: 7.7
Uncorrected energy, eV/atom: -22.22
ΔH_f (0 K), meV per atom: -681

Cell lengths 4.5347, 4.5347, 7.8145 Å; angles 90.00, 90.00, 120.00 degrees
Closest atoms and distances in Å follow each position.
Space group P6_3mc (No. 186)
Asymmetric unit:
Pr 0.0000 0.0000 0.0000  6 Ge 3.11-3.44, 6 Ag 3.19-3.35
Ag 0.3333 0.6667 0.2667  3 Ge 2.65
Ge 0.3333 0.6667 0.7154  3 Ag 2.65

Computed, not measured: Ag8GeS6 after structural relaxation at the meta-GGA r2SCAN level of DFT.

Computed properties:
Density, Mg/m³: 6.2
Uncorrected energy, eV/atom: -15.74
ΔH_f (0 K), meV per atom: -216

Cell lengths 15.1690, 7.4933, 10.6236 Å; angles 90.00, 90.00, 90.00 degrees
Closest atoms and distances in Å follow each position.
Space group Pna2_1 (No. 33)
Asymmetric unit:
Ag 0.0150 0.0179 0.0000  3 S 2.49-2.61
Ag 0.0604 0.2342 0.2236  4 S 2.62-2.69
Ag 0.0682 0.5722 0.9054  3 S 2.57-2.71
Ag 0.0895 0.6093 0.5815  2 S 2.48-2.51
Ag 0.1316 0.2689 0.7585  3 S 2.49-2.56
Ag 0.2252 0.0077 0.9755  3 S 2.53-2.62
Ag 0.2303 0.8770 0.5782  3 S 2.55-2.70
Ag 0.2404 0.6356 0.7956  2 S 2.43-2.45
Ge 0.1236 0.7332 0.2375  4 S 2.21-2.23
S 0.0043 0.7286 0.1165  1 Ge 2.22
S 0.1132 0.8247 0.7555  5 Ag 2.43-2.69
S 0.1213 0.2713 0.9944  6 Ag 2.49-2.62
S 0.1213 0.4956 0.3634  1 Ge 2.23
S 0.1276 0.9736 0.3619  1 Ge 2.23, 1 Ag 2.45
S 0.2408 0.7285 0.1133  1 Ge 2.21

Computed, not measured: ScAgGe after structural relaxation at the meta-GGA r2SCAN level of DFT.

Computed properties:
Density, Mg/m³: 6.8
Uncorrected energy, eV/atom: -16.14
ΔH_f (0 K), meV per atom: -602

Cell lengths 6.8840, 6.8840, 4.0386 Å; angles 90.00, 90.00, 120.00 degrees
Closest atoms and distances in Å follow each position.
Space group P-62m (No. 189)
Asymmetric unit:
Sc 0.0000 0.5826 0.0000  5 Ge 2.87-2.89, 2 Ag 3.04
Ag 0.0000 0.2534 0.5000  4 Ge 2.61-2.67
Ge 0.0000 0.0000 0.0000  6 Ag 2.67, 3 Sc 2.87
Ge 0.3333 0.6667 0.5000  3 Ag 2.61, 6 Sc 2.89

Computed, not measured: Ag8GeSe6 after structural relaxation at the meta-GGA r2SCAN level of DFT.

Computed properties:
Density, Mg/m³: 7.0
Uncorrected energy, eV/atom: -18.25
ΔH_f (0 K), meV per atom: -208

Cell lengths 7.9599, 7.7476, 10.8982 Å; angles 90.00, 90.00, 90.00 degrees
Closest atoms and distances in Å follow each position.
Space group Pmn2_1 (No. 31)
Asymmetric unit:
Ag 0.0000 0.1189 0.1112  4 Se 2.63-2.75
Ag 0.0000 0.2225 0.6766  3 Se 2.60-2.88
Ag 0.1961 0.0373 0.8863  3 Se 2.68-2.75, 1 Ag 2.97
Ag 0.2005 0.6574 0.0000  3 Se 2.57-2.79
Ag 0.2103 0.6040 0.2908  3 Se 2.62-2.79
Ge 0.0000 0.7489 0.6350  4 Se 2.35-2.37
Se 0.0000 0.3164 0.9108  6 Ag 2.65-2.72
Se 0.0000 0.5038 0.5044  1 Ge 2.37
Se 0.0000 0.7869 0.1596  5 Ag 2.57-2.63
Se 0.0000 0.9905 0.5043  1 Ge 2.35, 1 Ag 2.60
Se 0.2474 0.7498 0.7552  1 Ge 2.37

Computed, not measured: SmAgGe after structural relaxation at the meta-GGA r2SCAN level of DFT.

Computed properties:
Density, Mg/m³: 8.5
Uncorrected energy, eV/atom: -22.37
ΔH_f (0 K), meV per atom: -717

Cell lengths 7.2351, 7.2351, 4.2800 Å; angles 90.00, 90.00, 120.00 degrees
Closest atoms and distances in Å follow each position.
Space group P-62m (No. 189)
Asymmetric unit:
Sm 0.0000 0.5860 0.0000  5 Ge 3.00-3.05, 2 Ag 3.24
Ag 0.0000 0.2488 0.5000  4 Ge 2.77-2.80
Ge 0.0000 0.0000 0.0000  6 Ag 2.80, 3 Sm 3.00
Ge 0.3333 0.6667 0.5000  3 Ag 2.77, 6 Sm 3.05

Computed, not measured: SmAg2Ge2 after structural relaxation at the meta-GGA r2SCAN level of DFT.

Computed properties:
Density, Mg/m³: 8.5
Uncorrected energy, eV/atom: -20.49
ΔH_f (0 K), meV per atom: -449

Cell lengths 4.2419, 4.2419, 11.1035 Å; angles 90.00, 90.00, 90.00 degrees
Closest atoms and distances in Å follow each position.
Space group I4/mmm (No. 139)
Asymmetric unit:
Sm 0.0000 0.0000 0.0000  8 Ge 3.23, 8 Ag 3.49
Ag 0.0000 0.5000 0.2500  4 Ge 2.64
Ge 0.0000 0.0000 0.3912  1 Ge 2.42, 4 Ag 2.64

Computed, not measured: TmAgGe after structural relaxation at the meta-GGA r2SCAN level of DFT.

Computed properties:
Density, Mg/m³: 9.7
Uncorrected energy, eV/atom: -24.15
ΔH_f (0 K), meV per atom: -700

Cell lengths 7.0489, 7.0489, 4.1555 Å; angles 90.00, 90.00, 120.00 degrees
Closest atoms and distances in Å follow each position.
Space group P-62m (No. 189)
Asymmetric unit:
Tm 0.0000 0.5836 0.0000  5 Ge 2.94-2.97, 2 Ag 3.13
Ag 0.0000 0.2518 0.5000  4 Ge 2.68-2.73
Ge 0.0000 0.0000 0.0000  6 Ag 2.73, 3 Tm 2.94
Ge 0.3333 0.6667 0.5000  3 Ag 2.68, 6 Tm 2.97

Computed, not measured: YAgGe after structural relaxation at the meta-GGA r2SCAN level of DFT.

Computed properties:
Density, Mg/m³: 7.2
Uncorrected energy, eV/atom: -19.24
ΔH_f (0 K), meV per atom: -724

Cell lengths 7.1414, 7.1414, 4.2106 Å; angles 90.00, 90.00, 120.00 degrees
Closest atoms and distances in Å follow each position.
Space group P-62m (No. 189)
Asymmetric unit:
Y 0.0000 0.5855 0.0000  5 Ge 2.96-3.01, 2 Ag 3.19
Ag 0.0000 0.2507 0.5000  4 Ge 2.72-2.76
Ge 0.0000 0.0000 0.0000  6 Ag 2.76, 3 Y 2.96
Ge 0.3333 0.6667 0.5000  3 Ag 2.72, 6 Y 3.01

Number 1: magnetization 60.2 μB per cell. Number 2: magnetization 0.0 μB per cell. Number 3: magnetization 0.0 μB per cell. Number 4: magnetization 0.0 μB per cell. Number 5: magnetization 0.0 μB per cell. Number 6: magnetization 0.0 μB per cell. Number 7: magnetization 0.0 μB per cell. Number 8: magnetization 0.0 μB per cell. Number 9: magnetization 0.0 μB per cell. Number 10: magnetization 0.0 μB per cell. Number 11: magnetization 0.0 μB per cell. Number 12: magnetization 0.0 μB per cell.